[1]
# Se2Cl2O5

An optimized crystal structure of Se2Cl2O5 (GGA-PBE, the Materials Project).

The structure in POSCAR format:
```
Se2Cl2O5
1.0
2.7372 -10.6188 0.7672
5.2028 -8.3985 4.8204
-6.0655 9.0776 -1.2830
O Cl Se
5 2 2
direct
0.9005 0.4005 0.5000
0.0995 0.5995 0.5000
0.0000 0.0000 0.0000
0.5995 0.0995 0.5000
0.4005 0.9005 0.5000
0.8052 0.8052 0.0000
0.1948 0.1948 0.0000
0.9148 0.9148 0.0000
0.0852 0.0852 0.0000
```

Computed properties:
Total magnetic moment ... 0.00 μB/cell
Formation energy from the elements ... -0.28 eV per atom
Space-group type ... I4/mmm
Energy with MP2020 corrections ... -4.22 eV per atom

[2]
# SmSeClO3

An optimized crystal structure of SmSeClO3 (GGA-PBE, the Materials Project).

The structure in POSCAR format:
```
SmSeClO3
1.0
7.1849 0.0000 0.0000
0.0000 7.4072 0.0000
0.0000 0.0000 9.0550
O Sm Se Cl
12 4 4 4
direct
0.4251 0.3569 0.0672
0.5749 0.6431 0.9328
0.7500 0.2471 0.8161
0.4251 0.8569 0.4328
0.0749 0.8569 0.4328
0.2500 0.2529 0.3161
0.7500 0.7471 0.6839
0.9251 0.6431 0.9328
0.9251 0.1431 0.5672
0.5749 0.1431 0.5672
0.0749 0.3569 0.0672
0.2500 0.7529 0.1839
0.2500 0.6097 0.9608
0.7500 0.3903 0.0392
0.7500 0.8903 0.4608
0.2500 0.1097 0.5392
0.7500 0.7882 0.8687
0.7500 0.2882 0.6313
0.2500 0.2118 0.1313
0.2500 0.7118 0.3687
0.2500 0.9492 0.8202
0.7500 0.0508 0.1798
0.7500 0.5508 0.3202
0.2500 0.4492 0.6798
```

Computed properties:
Total magnetic moment ... 0.00 μB/cell
Formation energy from the elements ... -2.36 eV per atom
Space-group type ... Pnma
Energy with MP2020 corrections ... -6.51 eV per atom

[3]
# SnSe2Cl8O2

An optimized crystal structure of SnSe2Cl8O2 (GGA-PBE, the Materials Project).

The structure in POSCAR format:
```
SnSe2Cl8O2
1.0
1.6568 -5.0438 -4.3188
5.7857 -1.1671 3.4642
-6.8072 -12.0471 9.6119
Sn Cl Se O
2 16 4 4
direct
0.8006 0.1994 0.2500
0.1994 0.8006 0.7500
0.9106 0.5913 0.7594
0.1810 0.2928 0.0255
0.8330 0.3046 0.5745
0.7072 0.8190 0.4745
0.6366 0.3576 0.3581
0.0894 0.4087 0.2406
0.6954 0.1670 0.9255
0.5913 0.9106 0.2594
0.3046 0.8330 0.0745
0.3634 0.6424 0.6419
0.4087 0.0894 0.7406
0.1670 0.6954 0.4255
0.8190 0.7072 0.9745
0.2928 0.1810 0.5255
0.6424 0.3634 0.1419
0.3576 0.6366 0.8581
0.2134 0.0985 0.1335
0.7866 0.9015 0.8665
0.9015 0.7866 0.3665
0.0985 0.2134 0.6335
0.9819 0.0281 0.1632
0.0281 0.9819 0.6632
0.0181 0.9719 0.8368
0.9719 0.0181 0.3368
```

Computed properties:
Total magnetic moment ... 0.00 μB/cell
Formation energy from the elements ... -0.78 eV per atom
Space-group type ... C2/c
Energy with MP2020 corrections ... -3.52 eV per atom

[4]
# YSn3Se2ClO8

An optimized crystal structure of YSn3Se2ClO8 (GGA-PBE, the Materials Project).

The structure in POSCAR format:
```
YSn3Se2ClO8
1.0
7.1956 0.0000 0.0000
0.0000 7.5063 0.0000
0.0000 0.0000 10.4487
Sn Cl O Y Se
6 2 16 2 4
direct
0.2500 0.0000 0.7500
0.7500 0.0000 0.7500
0.2500 0.0000 0.2500
0.5000 0.8274 0.5000
0.0000 0.1726 0.0000
0.7500 0.0000 0.2500
0.5000 0.1284 0.0000
0.0000 0.8716 0.5000
0.5000 0.0662 0.6241
0.6890 0.7073 0.1518
0.5000 0.5552 0.6516
0.0000 0.4448 0.1516
0.6890 0.7073 0.8482
0.8110 0.2927 0.6518
0.0000 0.9338 0.8759
0.3110 0.7073 0.1518
0.8110 0.2927 0.3482
0.0000 0.4448 0.8484
0.1890 0.2927 0.6518
0.5000 0.5552 0.3484
0.3110 0.7073 0.8482
0.1890 0.2927 0.3482
0.5000 0.0662 0.3759
0.0000 0.9338 0.1241
0.5000 0.3150 0.5000
0.0000 0.6850 0.0000
0.5000 0.5689 0.8199
0.0000 0.4311 0.3199
0.0000 0.4311 0.6801
0.5000 0.5689 0.1801
```

Computed properties:
Total magnetic moment ... 0.00 μB/cell
Formation energy from the elements ... -1.63 eV per atom
Space-group type ... Pmmn
Energy with MP2020 corrections ... -6.09 eV per atom

[5]
# Sr3Se2Cl2O6

An optimized crystal structure of Sr3Se2Cl2O6 (GGA-PBE, the Materials Project).

The structure in POSCAR format:
```
Sr3Se2Cl2O6
1.0
-1.5028 -7.1013 -0.2258
3.7798 -6.0334 1.4314
-1.9353 -0.4922 6.4862
Se O Sr Cl
2 6 3 2
direct
0.4017 0.4053 0.7351
0.5947 0.5983 0.2649
0.4756 0.4697 0.2283
0.5919 0.1220 0.8847
0.1202 0.5953 0.8852
0.5303 0.5244 0.7717
0.8780 0.4081 0.1153
0.4047 0.8798 0.1148
0.9827 0.0173 0.0000
0.7113 0.7135 0.7879
0.2865 0.2887 0.2121
0.8391 0.8396 0.3753
0.1604 0.1609 0.6247
```

Computed properties:
Total magnetic moment ... 0.00 μB/cell
Piezoelectric modulus e_max ... 0.54 C/m2
Formation energy from the elements ... -2.38 eV per atom
Space-group type ... C2
Energy with MP2020 corrections ... -5.87 eV per atom

[6]
# Tb3Se2ClO8

An optimized crystal structure of Tb3Se2ClO8 (GGA-PBE, the Materials Project).

The structure in POSCAR format:
```
Tb3Se2ClO8
1.0
-1.3746 -0.7515 5.1976
10.4522 -1.9402 2.4838
2.1227 14.9143 2.7177
O Cl Tb Se
32 4 12 8
direct
0.6168 0.0011 0.6310
0.1928 0.9412 0.9512
0.3860 0.1843 0.4888
0.7264 0.7495 0.3426
0.2264 0.7505 0.1574
0.7736 0.2495 0.6574
0.8832 0.5011 0.1310
0.6928 0.5588 0.9512
0.3072 0.4412 0.0488
0.1168 0.4989 0.8690
0.7264 0.7495 0.1574
0.1168 0.4989 0.6310
0.8860 0.3157 0.4888
0.8072 0.0588 0.0488
0.6140 0.8157 0.9888
0.1928 0.9412 0.5488
0.7736 0.2495 0.8426
0.6168 0.0011 0.8690
0.2264 0.7505 0.3426
0.3832 0.9989 0.3690
0.6928 0.5588 0.5488
0.2736 0.2505 0.6574
0.1140 0.6843 0.5112
0.8072 0.0588 0.4512
0.8860 0.3157 0.0112
0.6140 0.8157 0.5112
0.3860 0.1843 0.0112
0.3072 0.4412 0.4512
0.3832 0.9989 0.1310
0.1140 0.6843 0.9888
0.2736 0.2505 0.8426
0.8832 0.5011 0.3690
0.9172 0.9928 0.2500
0.0828 0.0072 0.7500
0.5828 0.4928 0.7500
0.4172 0.5072 0.2500
0.0191 0.1357 0.5750
0.5296 0.1434 0.7500
0.5191 0.3643 0.5750
0.4809 0.6357 0.4250
0.9809 0.8643 0.0750
0.9704 0.6434 0.2500
0.5191 0.3643 0.9250
0.0191 0.1357 0.9250
0.4809 0.6357 0.0750
0.9809 0.8643 0.4250
0.0296 0.3566 0.7500
0.4704 0.8566 0.2500
0.4504 0.8751 0.9002
0.9504 0.6249 0.5998
0.0496 0.3751 0.0998
0.9504 0.6249 0.9002
0.4504 0.8751 0.5998
0.5496 0.1249 0.0998
0.5496 0.1249 0.4002
0.0496 0.3751 0.4002
```

Computed properties:
Total magnetic moment ... 0.00 μB/cell
Formation energy from the elements ... -2.77 eV per atom
Space-group type ... Pnma
Energy with MP2020 corrections ... -7.22 eV per atom

[7]
# Zn2SeCl2O3

An optimized crystal structure of Zn2SeCl2O3 (GGA-PBE, the Materials Project).

The structure in POSCAR format:
```
Zn2SeCl2O3
1.0
10.4449 0.0000 0.0000
0.0000 7.8127 0.0000
0.0000 1.2978 7.7964
Cl O Se Zn
8 12 4 8
direct
0.9030 0.2582 0.3955
0.5970 0.7582 0.3955
0.2812 0.5379 0.2195
0.7812 0.9621 0.7805
0.7188 0.4621 0.7805
0.4030 0.2418 0.6045
0.2188 0.0379 0.2195
0.0970 0.7418 0.6045
0.8180 0.6214 0.1225
0.9531 0.2786 0.0146
0.4531 0.2214 0.9854
0.5912 0.3944 0.1921
0.0469 0.7214 0.9854
0.6820 0.1214 0.1225
0.9088 0.8944 0.1921
0.5469 0.7786 0.0146
0.3180 0.8786 0.8775
0.4088 0.6056 0.8079
0.0912 0.1056 0.8079
0.1820 0.3786 0.8775
0.4675 0.8126 0.8165
0.9675 0.6874 0.1835
0.5325 0.1874 0.1835
0.0325 0.3126 0.8165
0.9893 0.8938 0.7731
0.7786 0.3747 0.0834
0.2786 0.1253 0.9166
0.7214 0.8747 0.0834
0.2214 0.6253 0.9166
0.5107 0.3938 0.7731
0.4893 0.6062 0.2269
0.0107 0.1062 0.2269
```

Computed properties:
Total magnetic moment ... 0.00 μB/cell
Formation energy from the elements ... -1.37 eV per atom
Space-group type ... P2_1/c
Energy with MP2020 corrections ... -4.44 eV per atom

[8]
# Zn2SeCl2O3

An optimized crystal structure of Zn2SeCl2O3 (GGA-PBE, the Materials Project).

The structure in POSCAR format:
```
Zn2SeCl2O3
1.0
7.8311 0.0000 0.0000
0.0000 10.4275 0.0000
0.0000 0.0000 15.7381
Se O Zn Cl
8 24 16 16
direct
0.2231 0.0351 0.9086
0.2769 0.5351 0.0914
0.2231 0.4649 0.5914
0.7231 0.0351 0.5914
0.7231 0.4649 0.9086
0.2769 0.9649 0.4086
0.7769 0.9649 0.0914
0.7769 0.5351 0.4086
0.2149 0.9515 0.0053
0.3531 0.8165 0.4408
0.0677 0.5918 0.0887
0.7851 0.0485 0.9947
0.3531 0.6835 0.0592
0.1469 0.3165 0.5592
0.5677 0.5918 0.4113
0.9323 0.4082 0.9113
0.6469 0.1835 0.5592
0.0677 0.9082 0.4113
0.5677 0.9082 0.0887
0.7149 0.5485 0.0053
0.7851 0.4515 0.5053
0.6469 0.3165 0.9408
0.2851 0.0485 0.5053
0.2851 0.4515 0.9947
0.1469 0.1835 0.9408
0.8531 0.6835 0.4408
0.8531 0.8165 0.0592
0.2149 0.5485 0.4947
0.4323 0.4082 0.5887
0.7149 0.9515 0.4947
0.9323 0.0918 0.5887
0.4323 0.0918 0.9113
0.3513 0.4917 0.3892
0.1487 0.9917 0.6108
0.6487 0.9917 0.8892
0.1044 0.7783 0.0365
0.6044 0.7783 0.4635
0.8956 0.2217 0.9635
0.6044 0.7217 0.0365
0.3956 0.2783 0.9635
0.8513 0.0083 0.3892
0.1487 0.5083 0.8892
0.6487 0.5083 0.6108
0.1044 0.7217 0.4635
0.3513 0.0083 0.1108
0.3956 0.2217 0.5365
0.8513 0.4917 0.1108
0.8956 0.2783 0.5365
0.6678 0.5930 0.1948
0.9293 0.2840 0.1137
0.3322 0.0930 0.6948
0.8322 0.4070 0.6948
0.5707 0.7160 0.6137
0.4293 0.2840 0.3863
0.1678 0.5930 0.3052
0.0707 0.7840 0.6137
0.5707 0.7840 0.8863
0.9293 0.2160 0.3863
0.6678 0.9070 0.3052
0.4293 0.2160 0.1137
0.1678 0.9070 0.1948
0.0707 0.7160 0.8863
0.8322 0.0930 0.8052
0.3322 0.4070 0.8052
```

Computed properties:
Total magnetic moment ... 0.00 μB/cell
Formation energy from the elements ... -1.37 eV per atom
Space-group type ... Pccn
Energy with MP2020 corrections ... -4.44 eV per atom

[9]
# SiCl2O

An optimized crystal structure of SiCl2O (GGA-PBE, the Materials Project).

The structure in POSCAR format:
```
SiCl2O
1.0
6.7940 0.0000 0.0000
2.6139 8.7490 0.0000
2.4983 1.8055 11.3948
O Cl Si
6 12 6
direct
0.5117 0.5597 0.1518
0.5316 0.6482 0.3490
0.4684 0.3518 0.6510
0.5309 0.8468 0.1497
0.4883 0.4403 0.8482
0.4691 0.1532 0.8503
0.7616 0.5519 0.6303
0.2485 0.6826 0.6781
0.7509 0.1890 0.0024
0.2491 0.8110 0.9976
0.1762 0.1453 0.6935
0.8238 0.8547 0.3065
0.3122 0.9812 0.3692
0.2357 0.3001 0.0622
0.2384 0.4481 0.3697
0.7515 0.3174 0.3219
0.7643 0.6999 0.9378
0.6878 0.0188 0.6308
0.5479 0.8244 0.2893
0.4853 0.2731 0.9323
0.4904 0.4961 0.7065
0.5147 0.7269 0.0677
0.5096 0.5039 0.2935
0.4521 0.1756 0.7107
```

Computed properties:
Total magnetic moment ... 0.00 μB/cell
Formation energy from the elements ... -1.98 eV per atom
Space-group type ... P-1
Energy with MP2020 corrections ... -5.50 eV per atom

[10]
# SiCl2O

An optimized crystal structure of SiCl2O (GGA-PBE, the Materials Project).

The structure in POSCAR format:
```
SiCl2O
1.0
6.4349 0.0000 0.0000
2.3505 8.2055 0.0000
1.1994 1.6435 8.3281
Cl O Si
8 4 4
direct
0.7598 0.3363 0.4067
0.8844 0.8601 0.2070
0.5945 0.2864 0.8983
0.2688 0.1345 0.3217
0.4055 0.7136 0.1017
0.7312 0.8655 0.6783
0.1156 0.1399 0.7930
0.2402 0.6637 0.5933
0.9537 0.3066 0.0739
0.0965 0.4996 0.2156
0.0463 0.6934 0.9261
0.9035 0.5004 0.7844
0.0200 0.3283 0.2421
0.8963 0.3192 0.8928
0.1037 0.6808 0.1072
0.9800 0.6717 0.7579
```

Computed properties:
Formation energy from the elements ... -1.99 eV per atom
Space-group type ... P-1
Energy with MP2020 corrections ... -5.51 eV per atom

[11]
# Si3Cl8O2

An optimized crystal structure of Si3Cl8O2 (GGA-PBE, the Materials Project).

The structure in POSCAR format:
```
Si3Cl8O2
1.0
6.6546 0.0000 0.0000
0.0000 11.4000 0.0000
0.0000 0.0000 21.1051
Si Cl O
12 32 8
direct
0.1100 0.9124 0.1168
0.5221 0.7026 0.7500
0.8900 0.0876 0.8832
0.9779 0.2026 0.7500
0.0221 0.7974 0.2500
0.4779 0.2974 0.2500
0.6100 0.5876 0.6168
0.8900 0.0876 0.6168
0.6100 0.5876 0.8832
0.3900 0.4124 0.3832
0.3900 0.4124 0.1168
0.1100 0.9124 0.3832
0.5831 0.8770 0.7500
0.7192 0.8216 0.2500
0.3942 0.9358 0.4156
0.9598 0.8006 0.0585
0.0831 0.6230 0.2500
0.4644 0.4309 0.6195
0.0356 0.9309 0.6195
0.4169 0.1230 0.2500
0.8942 0.5642 0.9156
0.6058 0.0642 0.9156
0.7808 0.3216 0.2500
0.4598 0.6994 0.5585
0.2808 0.1784 0.7500
0.0402 0.1994 0.5585
0.9169 0.3770 0.7500
0.1058 0.4358 0.0844
0.0356 0.9309 0.8805
0.3942 0.9358 0.0844
0.1058 0.4358 0.4156
0.6058 0.0642 0.5844
0.8942 0.5642 0.5844
0.5356 0.5691 0.3805
0.9644 0.0691 0.3805
0.5402 0.3006 0.0585
0.4598 0.6994 0.9415
0.2192 0.6784 0.7500
0.4644 0.4309 0.8805
0.9644 0.0691 0.1195
0.9598 0.8006 0.4415
0.5356 0.5691 0.1195
0.0402 0.1994 0.9415
0.5402 0.3006 0.4415
0.6230 0.6424 0.6879
0.8770 0.1424 0.8121
0.1230 0.8576 0.3121
0.6230 0.6424 0.8121
0.3770 0.3576 0.1879
0.3770 0.3576 0.3121
0.8770 0.1424 0.6879
0.1230 0.8576 0.1879
```

Computed properties:
Total magnetic moment ... 0.00 μB/cell
Formation energy from the elements ... -1.71 eV per atom
Space-group type ... Pnma
Energy with MP2020 corrections ... -4.86 eV per atom

- The highest formation energy from the elements belongs to which entry?
  Se2Cl2O5

- Among the records above, which one has the highest formation energy from the elements?
  Se2Cl2O5

- What is the formula in the fourth record?
  YSn3Se2ClO8

- Number 10 is which compound?
  SiCl2O